[1]
First-principles (GGA-PBE) data for VFeSb after structural relaxation, as listed in the Materials Project.

Cell and atoms, written as extended XYZ:
```
6
Lattice="4.549 0.000 0.000 -2.275 3.940 0.000 0.000 0.000 5.376" Properties=species:S:1:pos:R:3 pbc="T T T"
V 0.000 2.626 1.344
V 2.275 1.313 4.032
Fe 0.000 0.000 0.000
Fe 0.000 0.000 2.688
Sb 0.000 2.626 4.032
Sb 2.275 1.313 1.344
```

Results
**Polymorph energy (0 for the lowest one)**: 0.4685 eV/atom
**Calculated total energy**: -6.970 eV/atom
**Volume**: 96.4 Å³ per cell
**Calculated density**: 7.878 g cm⁻³

=====

[2]
First-principles (GGA-PBE) data for Ba3Bi after structural relaxation, as listed in the Materials Project.

Cell and atoms, written as extended XYZ:
```
8
Lattice="8.058 0.000 0.000 -4.029 6.978 0.000 0.000 0.000 6.345" Properties=species:S:1:pos:R:3 pbc="T T T"
Ba 0.000 2.474 1.586
Ba -1.886 5.741 1.586
Ba 2.143 1.237 4.759
Ba 1.886 5.741 1.586
Ba 5.915 1.237 4.759
Ba 4.029 4.504 4.759
Bi 0.000 4.652 4.759
Bi 4.029 2.326 1.586
```

Results
**Calculated total energy**: -2.859 eV/atom
**Volume**: 356.7 Å³ per cell
**Calculated density**: 5.781 g cm⁻³

=====

[3]
First-principles (GGA-PBE) data for SiGe after structural relaxation, as listed in the Materials Project.

Cell and atoms, written as extended XYZ:
```
4
Lattice="3.941 0.000 0.000 -1.970 3.413 0.000 0.000 0.000 6.509" Properties=species:S:1:pos:R:3 pbc="T T T"
Si 0.000 2.275 0.000
Si 1.970 1.138 3.254
Ge 0.000 2.275 4.074
Ge 1.970 1.138 0.819
```

Results
**Calculated total energy**: -4.983 eV/atom
**Volume**: 87.5 Å³ per cell
**Calculated density**: 3.822 g cm⁻³

=====

[4]
First-principles (GGA-PBE) data for Li2BiO3 after structural relaxation, as listed in the Materials Project.

Cell and atoms, written as extended XYZ:
```
24
Lattice="2.860 -4.926 0.000 2.860 4.926 0.000 -1.687 0.000 10.246" Properties=species:S:1:pos:R:3 pbc="T T T"
Li 0.586 2.463 5.123
Li 1.594 4.050 7.685
Li 1.214 0.925 0.050
Li 0.370 -0.925 5.173
Li 1.430 -2.463 0.000
Li 3.662 0.925 5.073
Li 2.819 -0.925 10.197
Li 2.438 -4.050 2.562
Bi 2.438 2.502 2.562
Bi 1.594 0.774 7.685
Bi 2.438 -0.774 2.562
Bi 1.594 -2.502 7.685
O -0.441 0.877 6.417
O 0.519 2.499 8.893
O 0.402 -0.877 1.294
O 1.549 1.024 3.866
O 2.670 2.499 6.477
O 0.705 -1.024 8.989
O 3.327 1.024 1.257
O 1.362 -2.499 3.770
O 2.484 -1.024 6.380
O 3.630 0.877 8.953
O 3.514 -2.499 1.353
O 4.474 -0.877 3.830
```

Results
**Polymorph energy (0 for the lowest one)**: 0.0360 eV/atom
**Calculated total energy**: -5.231 eV/atom
**Volume**: 288.7 Å³ per cell
**Calculated density**: 6.232 g cm⁻³

=====

[5]
First-principles (GGA-PBE) data for Hf2ReIr after structural relaxation, as listed in the Materials Project.

Cell and atoms, written as extended XYZ:
```
4
Lattice="0.000 3.272 3.272 3.272 0.000 3.272 3.272 3.272 0.000" Properties=species:S:1:pos:R:3 pbc="T T T"
Hf 1.636 1.636 1.636
Hf 4.908 4.908 4.908
Re 0.000 0.000 0.000
Ir 3.272 3.272 3.272
```

Results
**Calculated total energy**: -11.048 eV/atom
**Volume**: 70.1 Å³ per cell
**Calculated density**: 17.428 g cm⁻³

=====

[6]
First-principles (GGA-PBE) data for Sr3InP3 after structural relaxation, as listed in the Materials Project.

Cell and atoms, written as extended XYZ:
```
28
Lattice="12.945 0.000 0.000 0.000 4.359 0.000 0.000 0.000 13.979" Properties=species:S:1:pos:R:3 pbc="T T T"
Sr 0.937 1.090 1.465
Sr 1.863 3.269 7.038
Sr 2.925 3.269 11.085
Sr 3.547 1.090 4.096
Sr 4.609 1.090 0.049
Sr 5.535 3.269 8.455
Sr 7.410 1.090 5.524
Sr 8.336 3.269 13.930
Sr 9.397 3.269 9.883
Sr 10.020 1.090 2.894
Sr 11.082 1.090 6.941
Sr 12.007 3.269 12.513
In 0.681 1.090 9.812
In 5.791 3.269 2.823
In 7.153 1.090 11.156
In 12.264 3.269 4.167
P 0.609 1.090 4.971
P 1.241 1.090 12.373
P 3.125 1.090 8.774
P 3.348 3.269 1.785
P 5.232 3.269 5.383
P 5.864 3.269 11.960
P 7.081 1.090 2.018
P 7.713 1.090 8.595
P 9.597 1.090 12.194
P 9.820 3.269 5.205
P 11.704 3.269 1.606
P 12.336 3.269 9.008
```

Results
**Calculated total energy**: -4.378 eV/atom
**Volume**: 788.7 Å³ per cell
**Calculated density**: 3.963 g cm⁻³

=====

[7]
First-principles (GGA-PBE) data for Sr2MgCuI2O2 after structural relaxation, as listed in the Materials Project.

Cell and atoms, written as extended XYZ:
```
8
Lattice="-2.025 2.025 13.423 2.025 -2.025 13.423 2.025 2.025 -13.423" Properties=species:S:1:pos:R:3 pbc="T T T"
Sr 0.000 0.000 0.000
Sr 0.000 0.000 3.260
Mg 0.000 0.000 21.994
Cu 0.000 0.000 15.057
I 0.000 0.000 11.525
I 0.000 0.000 18.593
O 2.025 0.000 1.637
O 0.000 2.025 1.637
```

Results
**Calculated total energy**: -4.173 eV/atom
**Volume**: 220.1 Å³ per cell
**Calculated density**: 4.142 g cm⁻³

=====

[8]
First-principles (GGA-PBE) data for Na15CaTa11Si18O72 after structural relaxation, as listed in the Materials Project.

Cell and atoms, written as extended XYZ:
```
117
Lattice="9.025 0.000 0.000 4.512 7.844 0.000 0.001 0.060 22.653" Properties=species:S:1:pos:R:3 pbc="T T T"
Na 0.000 0.000 0.000
Na 9.026 0.033 11.129
Na 2.931 4.872 16.827
Na 5.718 5.275 20.734
Na 4.485 2.705 7.517
Na 4.491 2.609 18.754
Na 6.156 5.420 13.159
Na 3.393 0.173 16.825
Na 7.217 2.936 16.822
Na 5.734 0.019 5.631
Na 9.024 5.242 3.764
Na 9.027 5.269 15.003
Na 10.599 7.684 13.159
Na 7.810 2.616 1.865
Na 10.335 2.691 13.159
Ca 4.515 2.657 15.409
Ta 0.004 0.041 14.584
Ta 4.521 7.861 7.978
Ta 4.540 7.821 3.251
Ta 4.494 2.654 4.214
Ta 4.494 2.646 22.125
Ta 4.519 2.639 10.755
Ta 9.009 5.212 7.014
Ta 9.029 5.259 11.579
Ta 9.034 5.285 18.394
Ta 9.051 5.262 0.454
Ta 9.012 0.088 19.378
Si 3.233 5.592 5.623
Si 3.158 4.967 13.151
Si 1.917 2.614 1.837
Si 2.600 0.017 5.621
Si 5.849 5.668 17.013
Si 5.788 4.892 1.812
Si 3.202 0.306 13.153
Si 6.388 5.256 9.351
Si 7.755 7.568 20.724
Si 5.803 0.357 1.858
Si 7.197 2.677 13.155
Si 10.340 7.545 9.327
Si 7.734 3.017 20.755
Si 7.753 2.283 5.589
Si 10.948 7.839 16.988
Si 11.632 5.268 20.726
Si 10.345 2.964 9.347
Si 10.281 2.324 16.990
O 0.865 1.355 18.241
O 0.919 1.320 1.977
O 3.890 6.457 13.269
O 3.891 6.340 6.911
O 3.128 4.163 14.530
O 2.898 2.829 3.126
O 2.942 2.845 9.559
O 3.594 3.973 20.867
O 2.844 2.474 17.016
O 1.546 0.201 13.269
O 5.130 6.374 1.994
O 1.629 0.237 6.906
O 2.893 2.417 0.537
O 3.903 4.113 5.430
O 3.941 4.180 11.928
O 5.243 6.461 18.302
O 5.465 6.591 9.216
O 6.136 7.655 4.316
O 6.122 7.645 20.583
O 5.555 6.599 15.648
O 3.479 1.377 11.927
O 5.166 4.181 0.472
O 5.191 4.211 17.028
O 3.596 1.320 5.446
O 5.478 3.907 9.556
O 3.914 1.193 20.881
O 5.533 3.881 3.084
O 3.914 0.694 14.527
O 7.323 5.448 10.680
O 8.018 6.546 21.976
O 7.498 5.599 17.083
O 8.111 6.561 5.758
O 6.103 2.940 20.873
O 5.126 1.170 9.561
O 8.279 6.635 12.857
O 8.392 6.836 19.383
O 7.410 5.053 8.089
O 5.164 1.064 3.187
O 7.431 4.978 1.663
O 5.527 1.354 0.576
O 6.512 3.106 14.530
O 6.112 2.377 5.432
O 6.131 2.381 11.928
O 5.516 1.297 17.018
O 8.002 3.983 19.429
O 9.643 6.720 1.655
O 9.679 6.804 8.029
O 8.223 3.926 12.860
O 10.031 6.630 10.651
O 8.410 3.771 5.762
O 8.380 3.752 22.058
O 10.073 6.444 17.078
O 8.005 1.284 6.859
O 7.438 0.267 1.983
O 9.508 3.777 17.094
O 8.115 1.295 13.268
O 7.470 0.125 18.242
O 10.622 5.508 5.764
O 8.379 1.571 4.246
O 10.628 5.485 21.992
O 11.892 7.624 15.621
O 8.395 1.538 20.591
O 11.961 7.688 9.212
O 10.587 5.235 12.856
O 9.712 3.686 10.674
O 9.951 3.922 1.674
O 10.020 3.955 8.085
O 10.690 5.067 19.386
O 9.622 1.605 15.625
O 12.519 6.583 4.330
O 9.649 1.499 9.201
O 12.624 6.569 20.590
```

Results
**Calculated total energy**: -7.863 eV/atom
**Volume**: 1603.6 Å³ per cell
**Calculated density**: 4.176 g cm⁻³

=====

[9]
First-principles (GGA-PBE) data for Sm2Sn2O7 after structural relaxation, as listed in the Materials Project.

Cell and atoms, written as extended XYZ:
```
22
Lattice="0.000 5.318 5.318 5.318 0.000 5.318 5.318 5.318 0.000" Properties=species:S:1:pos:R:3 pbc="T T T"
Sm 0.000 0.000 0.000
Sm 2.659 2.659 0.000
Sm 2.659 0.000 2.659
Sm 0.000 2.659 2.659
Sn 5.318 2.659 2.659
Sn 2.659 5.318 2.659
Sn 2.659 2.659 5.318
Sn 5.318 5.318 5.318
O 1.330 1.330 1.330
O 3.989 3.989 1.744
O 3.989 1.744 3.989
O 6.233 3.989 3.989
O 6.648 6.648 4.403
O 6.648 4.403 6.648
O 8.892 6.648 6.648
O 1.744 3.989 3.989
O 3.989 6.233 3.989
O 3.989 3.989 6.233
O 4.403 6.648 6.648
O 6.648 8.892 6.648
O 6.648 6.648 8.892
O 9.307 9.307 9.307
```

Results
**Calculated total energy**: -7.298 eV/atom
**Volume**: 300.8 Å³ per cell
**Calculated density**: 7.178 g cm⁻³

=====

[10]
First-principles (GGA-PBE) data for NaCd4P3O12 after structural relaxation, as listed in the Materials Project.

Cell and atoms, written as extended XYZ:
```
80
Lattice="6.786 0.000 0.000 0.000 15.294 0.000 0.000 0.000 10.306" Properties=species:S:1:pos:R:3 pbc="T T T"
Na 0.333 3.824 2.307
Na 3.060 11.471 7.460
Na 3.726 3.824 2.846
Na 6.452 11.471 7.999
Cd 0.998 9.096 5.766
Cd 0.998 13.845 5.766
Cd 1.091 9.316 1.644
Cd 1.091 13.625 1.644
Cd 2.302 1.669 6.797
Cd 2.302 5.978 6.797
Cd 2.395 1.449 0.613
Cd 2.395 6.198 0.613
Cd 4.391 9.096 9.693
Cd 4.391 13.845 9.693
Cd 4.484 9.316 3.509
Cd 4.484 13.625 3.509
Cd 5.694 1.669 8.662
Cd 5.694 5.978 8.662
Cd 5.787 1.449 4.540
Cd 5.787 6.198 4.540
P 0.023 3.824 6.059
P 1.032 8.674 8.929
P 1.032 14.267 8.929
P 2.361 1.027 3.776
P 2.361 6.620 3.776
P 3.370 11.471 0.906
P 3.416 3.824 9.400
P 4.425 8.674 6.530
P 4.425 14.267 6.530
P 5.754 1.027 1.377
P 5.754 6.620 1.377
P 6.762 11.471 4.247
O 0.127 1.532 0.466
O 0.127 6.115 0.466
O 0.375 11.471 5.748
O 0.560 10.154 3.650
O 0.560 12.787 3.650
O 0.680 0.259 8.111
O 0.680 7.388 8.111
O 1.191 0.728 4.810
O 1.191 6.919 4.810
O 1.454 9.770 7.929
O 1.454 13.171 7.929
O 1.572 3.824 6.277
O 1.821 11.471 1.124
O 1.939 2.123 2.776
O 1.939 5.524 2.776
O 2.202 8.375 9.963
O 2.202 14.566 9.963
O 2.713 7.906 2.958
O 2.713 15.035 2.958
O 2.833 2.507 8.803
O 2.833 5.140 8.803
O 3.018 3.824 0.595
O 3.265 9.179 5.619
O 3.265 13.762 5.619
O 3.520 1.532 4.687
O 3.520 6.115 4.687
O 3.767 11.471 9.711
O 3.953 10.154 1.503
O 3.953 12.787 1.503
O 4.073 0.259 7.348
O 4.073 7.388 7.348
O 4.584 0.728 0.343
O 4.584 6.919 0.343
O 4.847 9.770 7.530
O 4.847 13.171 7.530
O 4.965 3.824 9.182
O 5.214 11.471 4.029
O 5.332 2.123 2.377
O 5.332 5.524 2.377
O 5.594 8.375 5.496
O 5.594 14.566 5.496
O 6.106 7.906 2.195
O 6.106 15.035 2.195
O 6.226 2.507 6.656
O 6.226 5.140 6.656
O 6.411 3.824 4.558
O 6.658 9.179 9.840
O 6.658 13.762 9.840
```

Results
**Calculated total energy**: -5.917 eV/atom
**Volume**: 1069.6 Å³ per cell
**Calculated density**: 4.704 g cm⁻³

=====

[11]
First-principles (GGA-PBE) data for RbSc3F10 after structural relaxation, as listed in the Materials Project.

Cell and atoms, written as extended XYZ:
```
28
Lattice="6.832 0.000 0.000 0.000 7.666 0.000 0.000 0.000 8.166" Properties=species:S:1:pos:R:3 pbc="T T T"
Rb 0.060 0.000 0.000
Rb 6.772 0.000 4.083
Sc 0.000 3.798 2.042
Sc 0.000 3.869 6.125
Sc 3.416 1.723 2.042
Sc 3.416 1.804 6.125
Sc 3.416 5.862 2.042
Sc 3.416 5.943 6.125
F 0.132 3.833 4.083
F 1.353 2.288 2.006
F 1.353 5.378 6.161
F 1.362 2.375 6.252
F 1.362 5.292 1.914
F 2.218 0.041 6.060
F 2.218 7.626 2.106
F 3.412 1.715 4.083
F 3.412 5.952 4.083
F 3.416 3.795 2.042
F 3.416 3.871 6.125
F 3.420 1.715 0.000
F 3.420 5.952 8.166
F 4.614 0.041 6.189
F 4.614 7.626 1.977
F 5.470 2.375 5.998
F 5.470 5.292 2.169
F 5.479 2.288 2.078
F 5.479 5.378 6.089
F 6.700 3.833 0.000
```

Results
**Calculated total energy**: -6.580 eV/atom
**Volume**: 427.7 Å³ per cell
**Calculated density**: 3.186 g cm⁻³

=====

[12]
First-principles (GGA-PBE) data for Ba10IBr4N5 after structural relaxation, as listed in the Materials Project.

Cell and atoms, written as extended XYZ:
```
20
Lattice="7.284 0.000 0.000 1.213 8.352 0.000 3.642 2.647 10.175" Properties=species:S:1:pos:R:3 pbc="T T T"
Ba 1.229 3.034 1.411
Ba 3.637 6.950 4.705
Ba 4.871 4.602 7.464
Ba 3.677 5.866 0.650
Ba 4.855 3.515 3.431
Ba 7.283 7.485 6.744
Ba 8.462 5.133 9.525
Ba 7.268 6.397 2.712
Ba 8.502 4.049 5.470
Ba 10.910 7.965 8.764
I 0.000 0.000 0.000
Br 3.642 1.588 6.101
Br 4.855 8.882 2.038
Br 7.284 2.117 8.138
Br 8.497 9.412 4.074
N 2.434 4.972 3.061
N 6.070 6.562 9.153
N 6.069 5.500 5.088
N 6.068 4.437 1.023
N 9.705 6.028 7.114
```

Results
**Calculated total energy**: -4.596 eV/atom
**Volume**: 619.1 Å³ per cell
**Calculated density**: 5.069 g cm⁻³